Version 1
An optimized crystal structure of FeCo3O8, computed with PBE+U.

Results
- SG = P1, No. 1
- M_tot (μB/cell) = 20.00

Cell lengths 7.993, 8.005, 8.007 Å; angles 90.04, 90.04, 89.92 degrees
Element x y z (fractional)
Co 0.126 0.125 0.625
O 0.140 0.139 0.861
O 0.110 0.389 0.112
O 0.143 0.357 0.643
Fe 0.125 0.875 0.375
O 0.889 0.388 0.890
O 0.357 0.643 0.143
O 0.862 0.140 0.138
Fe 0.875 0.375 0.125
O 0.137 0.861 0.141
O 0.857 0.857 0.857
Co 0.375 0.626 0.375
O 0.860 0.638 0.639
O 0.612 0.390 0.611
O 0.360 0.862 0.361
O 0.893 0.107 0.607
O 0.640 0.361 0.139
O 0.112 0.888 0.610
Co 0.624 0.875 0.874
O 0.107 0.607 0.893
O 0.139 0.640 0.362
O 0.890 0.889 0.389
Co 0.626 0.375 0.375
O 0.639 0.860 0.638
Co 0.374 0.876 0.125
Co 0.625 0.125 0.124
O 0.643 0.143 0.357
O 0.390 0.611 0.611
Co 0.874 0.624 0.875
O 0.887 0.610 0.111
O 0.607 0.893 0.107
O 0.387 0.891 0.889
O 0.362 0.139 0.640
Co 0.125 0.375 0.876
O 0.637 0.639 0.859
Fe 0.375 0.125 0.875
Co 0.376 0.375 0.625
O 0.612 0.611 0.390
O 0.389 0.112 0.110
Co 0.124 0.625 0.126
O 0.610 0.111 0.888
Co 0.876 0.125 0.375
Fe 0.625 0.625 0.625
O 0.393 0.393 0.393
O 0.112 0.110 0.389
O 0.362 0.360 0.861
Co 0.875 0.874 0.625
O 0.862 0.361 0.360

=====

Version 2
An optimized crystal structure of FeCo3O8, computed with PBE+U.

Results
- SG = R-3m, No. 166
- M_tot (μB/cell) = 6.99

Cell lengths 5.802, 5.802, 5.802 Å; angles 59.79, 59.79, 59.79 degrees
Element x y z (fractional)
O 0.239 0.719 0.239
O 0.239 0.239 0.719
Co 0.500 0.000 0.500
Fe 0.000 0.000 0.000
Co 0.000 0.500 0.500
O 0.734 0.734 0.734
O 0.719 0.239 0.239
Co 0.500 0.500 0.000
O 0.281 0.761 0.761
O 0.266 0.266 0.266
O 0.761 0.281 0.761
O 0.761 0.761 0.281

=====

Version 3
An optimized crystal structure of FeCo3O8, computed with PBE+U.

Results
- SG = P1, No. 1
- M_tot (μB/cell) = 28.00

Cell lengths 8.039, 8.112, 8.159 Å; angles 89.72, 89.99, 89.67 degrees
Element x y z (fractional)
O 0.137 0.360 0.637
O 0.613 0.110 0.892
Co 0.375 0.617 0.368
Co 0.631 0.875 0.880
O 0.885 0.115 0.614
O 0.367 0.857 0.352
Co 0.370 0.374 0.617
Co 0.627 0.120 0.130
O 0.391 0.890 0.891
O 0.899 0.627 0.106
O 0.114 0.392 0.108
O 0.650 0.647 0.873
Co 0.120 0.128 0.626
Co 0.618 0.368 0.376
O 0.885 0.893 0.399
O 0.149 0.856 0.121
O 0.374 0.602 0.596
O 0.855 0.120 0.149
Co 0.376 0.870 0.123
O 0.116 0.610 0.885
O 0.108 0.114 0.395
O 0.858 0.353 0.363
O 0.601 0.376 0.602
O 0.390 0.110 0.109
O 0.358 0.363 0.856
O 0.107 0.900 0.626
O 0.139 0.640 0.354
Co 0.128 0.627 0.119
Co 0.880 0.633 0.876
O 0.644 0.874 0.652
Fe 0.876 0.375 0.127
Fe 0.126 0.876 0.376
Fe 0.627 0.626 0.622
Co 0.124 0.380 0.872
Fe 0.376 0.126 0.875
O 0.637 0.352 0.142
O 0.876 0.652 0.647
O 0.893 0.394 0.889
O 0.635 0.136 0.364
O 0.610 0.889 0.112
O 0.363 0.635 0.137
O 0.864 0.866 0.867
O 0.605 0.598 0.375
O 0.136 0.145 0.859
Co 0.875 0.882 0.634
O 0.383 0.383 0.384
O 0.359 0.139 0.640
Co 0.869 0.123 0.379

=====

Which of them is most stable? Easy: version 3.

=====

Version 1
An optimized crystal structure of Fe3Co5O16, computed with PBE+U.

Results
- SG = P2/m, No. 10
- M_tot (μB/cell) = 17.00

Cell lengths 2.868, 5.241, 19.160 Å; angles 84.92, 90.00, 90.00 degrees
Element x y z (fractional)
Co 0.500 0.500 0.500
Co 0.500 0.738 0.745
O 0.500 0.278 0.072
O 0.500 0.722 0.928
O 0.000 0.370 0.558
O 0.000 0.856 0.057
Fe 0.000 0.858 0.870
O 0.500 0.246 0.435
Co 0.000 0.376 0.378
O 0.500 0.003 0.189
O 0.000 0.877 0.688
O 0.000 0.403 0.202
O 0.500 0.997 0.811
O 0.500 0.492 0.680
O 0.500 0.754 0.565
O 0.000 0.597 0.798
O 0.000 0.630 0.442
O 0.000 0.123 0.312
Co 0.000 0.624 0.622
Fe 0.000 0.142 0.130
O 0.000 0.144 0.943
O 0.500 0.508 0.320
Fe 0.500 0.000 0.000
Co 0.500 0.262 0.255

=====

Version 2
An optimized crystal structure of Fe3Co5O16, computed with PBE+U.

Results
- SG = Cm, No. 8
- M_tot (μB/cell) = 19.62

Cell lengths 5.736, 5.714, 8.554 Å; angles 89.99, 91.67, 119.81 degrees
Element x y z (fractional)
Co 0.167 0.832 0.207
O 0.180 0.345 0.597
O 0.469 0.515 0.344
O 0.181 0.836 0.597
Fe 0.836 0.668 0.709
Co 0.338 0.169 0.704
Co 0.336 0.668 0.486
O 0.836 0.665 0.100
O 0.328 0.664 0.098
O 0.009 0.005 0.318
O 0.660 0.830 0.596
Co 0.167 0.335 0.207
O 0.332 0.166 0.108
Fe 0.836 0.168 0.709
Co 0.661 0.331 0.988
O 0.508 0.044 0.847
O 0.047 0.524 0.334
O 0.470 0.954 0.344
O 0.508 0.463 0.847
O 0.953 0.476 0.855
O 0.836 0.172 0.100
Fe 0.669 0.834 0.210
O 0.016 0.008 0.816
O 0.659 0.329 0.596

=====

Which of them is most stable? Easy: version 1.

=====

Version 1
An optimized crystal structure of FeCoP2O8, computed with PBE+U.

Results
- SG = R3, No. 146
- M_tot (μB/cell) = 26.99

Cell lengths 8.373, 8.373, 8.373 Å; angles 62.08, 62.08, 62.08 degrees
Element x y z (fractional)
P 0.750 0.047 0.453
Co 0.500 0.500 0.500
O 0.609 0.825 0.004
P 0.453 0.750 0.047
O 0.596 0.250 0.440
O 0.004 0.609 0.825
Fe 0.355 0.355 0.355
P 0.249 0.952 0.548
O 0.675 0.893 0.496
P 0.952 0.548 0.249
O 0.440 0.596 0.250
O 0.403 0.749 0.564
O 0.175 0.996 0.393
O 0.893 0.496 0.675
O 0.250 0.440 0.596
O 0.108 0.506 0.322
O 0.996 0.393 0.175
Fe 0.145 0.145 0.145
O 0.904 0.062 0.250
O 0.751 0.094 0.937
O 0.393 0.175 0.996
Co 0.998 0.998 0.998
Fe 0.645 0.645 0.645
O 0.094 0.937 0.751
O 0.564 0.403 0.749
O 0.062 0.250 0.904
P 0.047 0.453 0.750
O 0.506 0.322 0.108
Co 0.854 0.854 0.854
O 0.825 0.004 0.609
P 0.548 0.249 0.952
O 0.749 0.564 0.403
O 0.937 0.751 0.094
O 0.322 0.108 0.506
O 0.250 0.904 0.062
O 0.496 0.675 0.893

=====

Version 2
An optimized crystal structure of FeCoP2O8, computed with PBE+U.

Results
- SG = P2_1/m, No. 11
- M_tot (μB/cell) = 18.00

Cell lengths 5.848, 4.822, 9.904 Å; angles 89.48, 90.00, 90.00 degrees
Element x y z (fractional)
P 0.250 0.076 0.408
Co 0.750 0.061 0.282
O 0.250 0.765 0.389
O 0.547 0.773 0.671
O 0.453 0.227 0.329
O 0.750 0.651 0.949
P 0.750 0.589 0.101
O 0.250 0.349 0.051
O 0.953 0.773 0.671
Co 0.250 0.939 0.718
O 0.047 0.227 0.329
O 0.544 0.732 0.174
O 0.750 0.235 0.611
Fe 0.250 0.537 0.225
P 0.750 0.924 0.592
O 0.044 0.268 0.826
P 0.250 0.411 0.899
O 0.956 0.732 0.174
O 0.250 0.161 0.557
O 0.250 0.731 0.882
O 0.750 0.269 0.118
O 0.456 0.268 0.826
Fe 0.750 0.463 0.775
O 0.750 0.839 0.443

=====

Which of them is most stable? Easy: version 2.

=====

Version 1
An optimized crystal structure of Fe3Co3Te2O16, computed with PBE+U.

Results
- SG = Cm, No. 8
- M_tot (μB/cell) = 13.00

Cell lengths 5.696, 5.696, 9.215 Å; angles 89.83, 89.83, 59.78 degrees
Element x y z (fractional)
O 0.512 0.968 0.832
Fe 0.830 0.341 0.718
O 0.998 0.998 0.808
O 0.665 0.665 0.614
O 0.160 0.160 0.600
Te 0.335 0.335 0.493
O 0.028 0.485 0.333
O 0.485 0.028 0.333
O 0.483 0.483 0.330
Te 0.670 0.670 0.997
O 0.162 0.680 0.599
O 0.968 0.512 0.832
Co 0.830 0.830 0.714
Co 0.659 0.170 0.214
O 0.844 0.844 0.095
Fe 0.341 0.830 0.718
O 0.840 0.323 0.098
O 0.002 0.002 0.307
O 0.330 0.330 0.111
O 0.516 0.516 0.839
Co 0.170 0.659 0.214
O 0.680 0.162 0.599
O 0.323 0.840 0.098
Fe 0.170 0.170 0.218

=====

Version 2
An optimized crystal structure of Fe3Co3Te2O16, computed with PBE+U.

Results
- SG = P1, No. 1
- M_tot (μB/cell) = 17.00

Cell lengths 5.931, 5.936, 9.206 Å; angles 88.67, 87.95, 60.57 degrees
Element x y z (fractional)
O 0.345 0.834 0.400
Fe 0.667 0.174 0.292
O 0.948 0.520 0.651
O 0.508 0.959 0.658
O 0.644 0.673 0.892
O 0.824 0.831 0.403
O 0.658 0.170 0.900
Te 0.662 0.668 0.511
O 0.497 0.539 0.660
Fe 0.840 0.827 0.794
Fe 0.173 0.669 0.292
Te 0.336 0.331 0.010
Co 0.176 0.173 0.284
O 0.320 0.325 0.391
O 0.042 0.461 0.158
O 0.181 0.166 0.897
O 0.464 0.040 0.158
O 0.479 0.475 0.147
Co 0.350 0.828 0.784
O 0.028 0.990 0.703
O 0.825 0.347 0.403
O 0.173 0.654 0.903
O 0.015 0.012 0.200
Co 0.846 0.334 0.794

=====

Which of them is most stable? Easy: version 2.

=====

Version 1
An optimized crystal structure of Ga2CoO4, computed with PBE+U.

Cell lengths 5.850, 8.464, 5.997 Å; angles 90.00, 90.00, 90.00 degrees
Element x y z (fractional)
O 0.500 0.111 0.744
O 0.235 0.374 0.000
O 0.000 0.139 0.256
Co 0.250 0.625 0.000
O 0.735 0.874 0.500
O 0.265 0.874 0.500
O 0.500 0.639 0.244
O 0.000 0.611 0.756
Co 0.250 0.125 0.500
Ga 0.000 0.375 0.750
Ga 0.500 0.875 0.250
Ga 0.000 0.375 0.250
O 0.235 0.376 0.500
O 0.000 0.139 0.744
Ga 0.000 0.010 0.000
Co 0.750 0.125 0.500
O 0.735 0.876 0.000
O 0.265 0.876 0.000
O 0.500 0.639 0.756
O 0.000 0.611 0.244
Ga 0.500 0.240 0.000
O 0.500 0.111 0.256
Ga 0.500 0.875 0.750
Ga 0.000 0.740 0.500
Ga 0.500 0.510 0.500
O 0.765 0.376 0.500
Co 0.750 0.625 0.000
O 0.765 0.374 0.000

=====

Version 2
An optimized crystal structure of Ga2CoO4, computed with PBE+U.

Cell lengths 5.978, 5.978, 10.353 Å; angles 90.00, 106.78, 60.00 degrees
Element x y z (fractional)
Ga 0.000 0.750 0.250
O 0.738 0.108 0.131
O 0.262 0.346 0.869
O 0.262 0.119 0.642
Co 0.125 0.188 0.438
O 0.285 0.108 0.131
Co 0.875 0.812 0.562
Co 0.875 0.312 0.062
O 0.285 0.608 0.631
O 0.262 0.846 0.369
O 0.715 0.392 0.369
O 0.262 0.892 0.869
Ga 0.500 0.750 0.250
Ga 0.500 0.250 0.250
Ga 0.500 0.500 0.500
O 0.738 0.381 0.858
Ga 0.500 0.250 0.750
O 0.738 0.881 0.358
Ga 0.500 0.000 0.000
O 0.738 0.654 0.131
O 0.262 0.392 0.369
Co 0.125 0.688 0.938
O 0.738 0.154 0.631
O 0.262 0.619 0.142
Ga 0.500 0.750 0.750
Ga 0.000 0.250 0.750
O 0.715 0.892 0.869
O 0.738 0.608 0.631

=====

Which of them is most stable? Easy: version 2.